Computed, not measured: a geometry-optimized Li4MnCo2O7 structure at the GGA+U level of DFT.

Output
Energy of formation from the pure elements: -1.793 eV per atom
Total magnetic moment: 10.003 μB per formula unit

Unit cell a=16.9888 b=16.9888 c=5.1774 alpha=93.40 beta=93.40 gamma=9.75
With the nearest neighbours (Å) after each atom.
Fractional coordinates of all 28 atoms:
Li 0.0000 0.0000 0.0000  6 O 2.10-2.30
Li 0.1427 0.1427 0.7313  6 O 2.08-2.20
Li 0.2861 0.2861 0.4357  5 O 2.02-2.23
Li 0.4328 0.4328 0.1482  3 O 1.97-1.99
Li 0.5011 0.5011 0.5155  6 O 2.05-2.15
Li 0.5697 0.5697 0.8628  6 O 2.02-2.20
Li 0.7156 0.7156 0.5825  6 O 2.11-2.21
Li 0.8597 0.8597 0.2931  6 O 2.12-2.14
Mn 0.0692 0.0692 0.3780  5 O 1.83-1.99
Mn 0.2154 0.2154 0.0808  5 O 1.98-2.21
Co 0.3591 0.3591 0.7908  6 O 1.87-1.96
Co 0.6429 0.6429 0.2384  6 O 2.01-2.11
Co 0.7879 0.7879 0.9264  6 O 2.01-2.10
Co 0.9342 0.9342 0.6330  3 O 1.78-1.96
O 0.0394 0.0394 0.6613  1 Mn 1.83, 2 Li 2.02
O 0.1082 0.1082 0.0777  2 Co 2.01, 1 Mn 2.10, 3 Li 2.20
O 0.1765 0.1765 0.4095  2 Co 2.01, 3 Li 2.08-2.12, 1 Mn 2.21
O 0.2544 0.2544 0.7547  2 Co 2.01, 3 Li 2.02-2.11, 1 Mn 2.21
O 0.3248 0.3248 0.0824  3 Co 1.96-2.04, 2 Li 2.13
O 0.3926 0.3926 0.5153  3 Co 1.87-2.08
O 0.4620 0.4620 0.8250  2 Co 1.96, 4 Li 1.99-2.14
O 0.5402 0.5402 0.2069  2 Mn 1.93, 2 Li 2.09-2.13
O 0.6039 0.6039 0.5265  2 Mn 1.99, 1 Co 2.05, 3 Li 2.15-2.18
O 0.6813 0.6813 0.9321  2 Mn 1.98, 1 Co 2.11, 3 Li 2.17-2.21
O 0.7498 0.7498 0.2327  2 Mn 1.99, 1 Co 2.10, 3 Li 2.13-2.21
O 0.8277 0.8277 0.6366  3 Co 1.94-2.07, 1 Li 2.14
O 0.8895 0.8895 0.9401  2 Co 1.91
O 0.9605 0.9605 0.3454  1 Co 1.78, 2 Li 1.97

***

Computed, not measured: a geometry-optimized Li7Mn2Co3O12 structure at the GGA+U level of DFT.

Output
Energy of formation from the pure elements: -1.909 eV per atom
Total magnetic moment: 6.000 μB per formula unit

Unit cell a=5.0651 b=5.9097 c=7.7351 alpha=78.62 beta=76.82 gamma=74.24
With the nearest neighbours (Å) after each atom.
Fractional coordinates of all 24 atoms:
Li 0.0000 0.0000 0.0000  6 O 2.06-2.24
Li 0.0000 0.5000 0.0000  6 O 2.07-2.12
Li 0.0038 0.3376 0.6697  6 O 2.12-2.26
Li 0.4924 0.1697 0.8348  6 O 2.07-2.19
Li 0.5000 0.5000 0.5000  6 O 2.05-2.16
Li 0.5076 0.8303 0.1652  6 O 2.07-2.19
Li 0.9962 0.6624 0.3303  6 O 2.12-2.26
Mn 0.5004 0.3389 0.1646  6 O 1.92-1.97
Mn 0.4996 0.6611 0.8354  6 O 1.92-1.97
Co 0.0022 0.8241 0.6743  6 O 1.90-2.12
Co 0.5000 0.0000 0.5000  6 O 1.96-2.09
Co 0.9978 0.1759 0.3257  6 O 1.90-2.12
O 0.2452 0.8499 0.4323  3 Co 1.96-2.12, 2 Li 2.16-2.19
O 0.2524 0.1741 0.1034  1 Co 1.90, 1 Mn 1.97, 2 Li 2.12
O 0.2608 0.3288 0.4039  1 Mn 1.97, 2 Co 2.05-2.09, 3 Li 2.10-2.17
O 0.2636 0.5159 0.7532  1 Mn 1.92, 1 Co 2.02, 3 Li 2.05-2.11
O 0.2660 0.9741 0.7558  1 Mn 1.97, 2 Co 2.05-2.06, 2 Li 2.06-2.08
O 0.2820 0.6474 0.0761  2 Mn 1.93-1.94, 3 Li 2.07-2.16
O 0.7180 0.3526 0.9239  2 Mn 1.93-1.94, 3 Li 2.07-2.16
O 0.7340 0.0259 0.2442  1 Mn 1.97, 2 Co 2.05-2.06, 2 Li 2.06-2.08
O 0.7364 0.4841 0.2468  1 Mn 1.92, 1 Co 2.02, 3 Li 2.05-2.11
O 0.7392 0.6712 0.5961  1 Mn 1.97, 2 Co 2.05-2.09, 3 Li 2.10-2.17
O 0.7476 0.8259 0.8966  1 Co 1.90, 1 Mn 1.97, 2 Li 2.12
O 0.7548 0.1501 0.5677  3 Co 1.96-2.12, 2 Li 2.16-2.19

***

Computed, not measured: a geometry-optimized Li7Mn4CoO12 structure at the GGA+U level of DFT.

Output
Energy of formation from the pure elements: -2.046 eV per atom
Total magnetic moment: 14.000 μB per formula unit

Unit cell a=5.9611 b=6.5404 c=6.5665 alpha=71.60 beta=64.17 gamma=76.74
With the nearest neighbours (Å) after each atom.
Fractional coordinates of all 24 atoms:
Li 0.0000 0.0000 0.0000  6 O 2.05-2.29
Li 0.0781 0.3195 0.1676  6 O 2.10-2.13
Li 0.1603 0.6480 0.3254  5 O 2.05-2.26
Li 0.3324 0.3217 0.6598  5 O 2.04-2.23
Li 0.4836 0.9970 0.0012  6 O 2.09-2.24
Li 0.6612 0.6489 0.3368  5 O 2.04-2.21
Li 0.8310 0.3161 0.6659  6 O 2.07-2.26
Mn 0.4056 0.6532 0.8350  6 O 1.90-2.03
Mn 0.5712 0.3231 0.1696  6 O 1.93-2.00
Mn 0.7522 0.9913 0.4913  6 O 1.90-2.03
Mn 0.9159 0.6548 0.8308  4 O 1.93-2.04
Co 0.2448 0.9926 0.4890  6 O 2.01-2.17
O 0.0595 0.6637 0.0456  2 Mn 1.92-1.96, 3 Li 2.09-2.14
O 0.0906 0.9797 0.2733  1 Mn 1.90, 1 Co 2.03, 3 Li 2.05-2.10
O 0.2325 0.3175 0.4014  1 Mn 1.93, 1 Co 2.01, 3 Li 2.04-2.10
O 0.3093 0.6533 0.5951  1 Mn 1.90, 2 Li 2.04-2.06, 1 Co 2.10
O 0.3962 0.9699 0.7363  2 Mn 1.96-2.03, 2 Li 2.09-2.17, 1 Co 2.13
O 0.4571 0.3388 0.9276  2 Mn 1.94-1.95, 3 Li 2.12-2.15
O 0.5210 0.6396 0.0820  2 Mn 1.95-1.99, 1 Li 2.05
O 0.6333 0.0071 0.2496  2 Mn 1.95-1.97, 1 Li 2.08, 1 Co 2.16
O 0.6991 0.3020 0.4072  2 Mn 1.92-1.97, 3 Li 2.10-2.15
O 0.7668 0.6695 0.5997  3 Mn 1.99-2.04, 2 Li 2.13-2.19
O 0.8585 0.9764 0.7360  2 Mn 1.94-1.99, 2 Li 2.10-2.16, 1 Co 2.17
O 0.9202 0.3428 0.9268  2 Mn 1.93-2.00, 3 Li 2.07-2.12

***

Computed, not measured: a geometry-optimized Li6Mn3CoO10 structure at the GGA+U level of DFT.

Output
Energy of formation from the pure elements: -2.026 eV per atom
Total magnetic moment: 10.000 μB per formula unit

Unit cell a=5.1112 b=5.1112 c=13.0568 alpha=101.80 beta=101.80 gamma=32.71
With the nearest neighbours (Å) after each atom.
Fractional coordinates of all 20 atoms:
Li 0.0000 0.0000 0.0000  5 O 2.07-2.19
Li 0.2018 0.2018 0.4200  4 O 2.02-2.17
Li 0.4065 0.4065 0.8033  6 O 2.07-2.18
Li 0.5010 0.5010 0.5089  6 O 2.09-2.11
Li 0.5966 0.5966 0.2168  5 O 2.03-2.17
Li 0.8004 0.8004 0.5968  6 O 2.02-2.24
Mn 0.1045 0.1045 0.6982  5 O 1.84-1.98
Mn 0.2978 0.2978 0.1076  5 O 1.97-2.20
Mn 0.8936 0.8936 0.3205  5 O 1.82-1.98
Co 0.7061 0.7061 0.9026  6 O 2.01-2.17
O 0.0653 0.0653 0.8495  2 Co 2.01, 1 Mn 2.09, 3 Li 2.11-2.19
O 0.1527 0.1527 0.5694  1 Mn 1.84, 2 Li 2.02
O 0.2588 0.2588 0.2683  2 Mn 1.98, 3 Li 2.14-2.17
O 0.3484 0.3484 0.9514  2 Co 2.01, 3 Li 2.07-2.13, 1 Mn 2.20
O 0.4720 0.4720 0.6628  2 Mn 1.93, 2 Li 2.07-2.09
O 0.5266 0.5266 0.3526  2 Mn 1.93, 2 Li 2.03-2.11
O 0.6621 0.6621 0.0583  2 Mn 1.97, 2 Li 2.16, 1 Co 2.17
O 0.7388 0.7388 0.7518  2 Mn 1.98, 1 Co 2.06, 2 Li 2.18
O 0.8498 0.8498 0.4494  1 Mn 1.82, 2 Li 2.02
O 0.9315 0.9315 0.1638  3 Mn 1.98-2.16, 2 Li 2.17

***

Computed, not measured: a geometry-optimized Li7Mn4CoO12 structure at the GGA+U level of DFT.

Output
Energy of formation from the pure elements: -1.926 eV per atom
Total magnetic moment: 19.431 μB per formula unit

Unit cell a=3.0468 b=3.0468 c=29.7694 alpha=93.41 beta=93.41 gamma=56.08
With the nearest neighbours (Å) after each atom.
Fractional coordinates of all 24 atoms:
Li 0.0000 0.0000 0.0000  6 O 2.06-2.29
Li 0.0005 0.0005 0.2502  6 O 2.15-2.23
Li 0.0009 0.0009 0.7531  5 O 2.05-2.25
Li 0.3342 0.3342 0.5844  6 O 2.17-2.22
Li 0.3404 0.3404 0.0787  3 O 2.00-2.11
Li 0.6583 0.6583 0.9191  5 O 2.03-2.16
Li 0.6674 0.6674 0.4172  6 O 2.16-2.21
Mn 0.0005 0.0005 0.5005  4 O 1.96
Mn 0.3339 0.3339 0.3337  4 O 1.96
Mn 0.6657 0.6657 0.6678  4 O 1.95-1.96
Mn 0.6706 0.6706 0.1671  4 O 1.94-1.96
Co 0.3333 0.3333 0.8340  6 O 2.00-2.15
O 0.0151 0.0151 0.1312  2 Mn 1.94
O 0.0146 0.0146 0.8697  3 Co 2.00-2.08, 2 Li 2.16
O 0.0240 0.0240 0.6292  2 Mn 1.96, 2 Li 2.17
O 0.3107 0.3107 0.7058  2 Mn 1.95
O 0.3165 0.3165 0.2055  2 Mn 1.96, 2 Li 2.15
O 0.3383 0.3383 0.9573  5 Li 2.03-2.13
O 0.3570 0.3570 0.4620  2 Mn 1.96, 2 Li 2.16
O 0.6444 0.6444 0.5388  2 Mn 1.96, 2 Li 2.18
O 0.6575 0.6575 0.7954  3 Co 2.03-2.15, 2 Li 2.05
O 0.6633 0.6633 0.0422  5 Li 2.00-2.11
O 0.6903 0.6903 0.2955  2 Mn 1.96, 2 Li 2.17
O 0.9780 0.9780 0.3723  2 Mn 1.96, 2 Li 2.17

***

Computed, not measured: a geometry-optimized Li7Mn4CoO12 structure at the GGA+U level of DFT.

Output
Energy of formation from the pure elements: -2.043 eV per atom
Total magnetic moment: 1.004 μB per formula unit

Unit cell a=10.5664 b=10.5664 c=15.7052 alpha=112.26 beta=112.26 gamma=15.62
With the nearest neighbours (Å) after each atom.
Fractional coordinates of all 48 atoms:
Li 0.1239 0.1239 0.4598  6 O 2.08-2.18
Li 0.1266 0.1266 0.1289  5 O 2.12-2.17
Li 0.1290 0.1290 0.7932  5 O 1.99-2.23
Li 0.2500 0.2500 0.7500  6 O 2.10-2.21
Li 0.3709 0.3709 0.7067  5 O 1.99-2.22
Li 0.3733 0.3733 0.3705  6 O 2.12-2.37
Li 0.3763 0.3763 0.0395  6 O 2.09-2.18
Li 0.6237 0.6237 0.9605  6 O 2.09-2.18
Li 0.6267 0.6267 0.6295  6 O 2.12-2.37
Li 0.6291 0.6291 0.2933  5 O 1.99-2.22
Li 0.7500 0.7500 0.2500  6 O 2.10-2.21
Li 0.8710 0.8710 0.2068  5 O 1.99-2.23
Li 0.8734 0.8734 0.8711  5 O 2.12-2.17
Li 0.8761 0.8761 0.5402  6 O 2.08-2.18
Mn 0.0013 0.0013 0.1662  4 O 1.96
Mn 0.2488 0.2488 0.4122  5 O 1.82-1.98
Mn 0.2512 0.2512 0.0877  5 O 1.82-1.98
Mn 0.4989 0.4989 0.3338  4 O 1.96-1.97
Mn 0.5011 0.5011 0.6662  4 O 1.96-1.97
Mn 0.7488 0.7488 0.9123  5 O 1.82-1.98
Mn 0.7512 0.7512 0.5878  5 O 1.82-1.98
Mn 0.9987 0.9987 0.8338  4 O 1.96
Co 0.0000 0.0000 0.5000  4 O 1.93
Co 0.5000 0.5000 0.0000  4 O 1.93
O 0.0573 0.0573 0.9871  2 Co 1.93, 3 Li 2.14-2.15
O 0.0582 0.0582 0.3211  2 Mn 1.96, 1 Li 2.08
O 0.0600 0.0600 0.6512  2 Mn 1.97, 3 Li 2.12-2.14
O 0.1931 0.1931 0.5988  2 Mn 1.93, 1 Li 2.11
O 0.1941 0.1941 0.2903  1 Mn 1.82, 2 Li 1.99
O 0.1969 0.1969 0.9443  3 Mn 1.98-2.10, 2 Li 2.18
O 0.3031 0.3031 0.5559  3 Mn 1.98-2.10, 2 Li 2.18
O 0.3060 0.3060 0.2098  1 Mn 1.82, 2 Li 1.99
O 0.3068 0.3068 0.9009  2 Mn 1.93, 1 Li 2.11
O 0.4399 0.4399 0.8489  2 Mn 1.96, 3 Li 2.12-2.15
O 0.4419 0.4419 0.1788  2 Mn 1.96, 1 Li 2.09
O 0.4431 0.4431 0.5135  2 Co 1.93, 2 Li 2.16
O 0.5569 0.5569 0.4865  2 Co 1.93, 2 Li 2.16
O 0.5581 0.5581 0.8212  2 Mn 1.96, 1 Li 2.09
O 0.5601 0.5601 0.1511  2 Mn 1.96, 3 Li 2.12-2.15
O 0.6932 0.6932 0.0991  2 Mn 1.93, 1 Li 2.11
O 0.6940 0.6940 0.7902  1 Mn 1.82, 2 Li 1.99
O 0.6969 0.6969 0.4441  3 Mn 1.98-2.10, 2 Li 2.18
O 0.8031 0.8031 0.0557  3 Mn 1.98-2.10, 2 Li 2.18
O 0.8059 0.8059 0.7097  1 Mn 1.82, 2 Li 1.99
O 0.8069 0.8069 0.4012  2 Mn 1.93, 1 Li 2.11
O 0.9400 0.9400 0.3488  2 Mn 1.97, 3 Li 2.12-2.14
O 0.9418 0.9418 0.6789  2 Mn 1.96, 1 Li 2.08
O 0.9427 0.9427 0.0129  2 Co 1.93, 3 Li 2.14-2.15